(1)
## Ti3CrP6O24 (GGA+U)

Data for crystalline Ti3CrP6O24 at its relaxed geometry.

Values from the calculation:
Total DFT energy (no corrections) ... -7.630 eV per atom
Formation enthalpy at 0 K ... -2.745 eV/atom
Symmetry ... R3 (146)

Cell and atoms, written as CIF:
```
data_Ti3CrP6O24
_chemical_formula_sum 'Ti3 Cr1 P6 O24'
_symmetry_space_group_name_H-M 'P 1'
_symmetry_Int_Tables_number 1
_cell_length_a 8.795
_cell_length_b 8.795
_cell_length_c 8.795
_cell_angle_alpha 58.46
_cell_angle_beta 58.46
_cell_angle_gamma 58.46
loop_
_symmetry_equiv_pos_as_xyz
'x,y,z'
loop_
_atom_site_label
_atom_site_fract_x
_atom_site_fract_y
_atom_site_fract_z
_atom_site_occupancy
Ti1 0.861 0.861 0.861 1
Ti2 0.640 0.640 0.640 1
Ti3 0.360 0.360 0.360 1
Cr1 0.141 0.141 0.141 1
P1 0.531 0.968 0.251 1
P2 0.251 0.531 0.968 1
P3 0.968 0.251 0.531 1
P4 0.033 0.754 0.465 1
P5 0.754 0.465 0.033 1
P6 0.465 0.033 0.754 1
O1 0.489 0.860 0.730 1
O2 0.860 0.730 0.489 1
O3 0.710 0.939 0.077 1
O4 0.730 0.489 0.860 1
O5 0.553 0.788 0.426 1
O6 0.355 0.001 0.218 1
O7 0.077 0.710 0.939 1
O8 0.426 0.553 0.788 1
O9 0.788 0.426 0.553 1
O10 0.004 0.785 0.634 1
O11 0.065 0.933 0.280 1
O12 0.785 0.634 0.004 1
O13 0.218 0.355 0.001 1
O14 0.939 0.077 0.710 1
O15 0.001 0.218 0.355 1
O16 0.215 0.585 0.430 1
O17 0.585 0.430 0.215 1
O18 0.933 0.280 0.065 1
O19 0.634 0.004 0.785 1
O20 0.430 0.215 0.585 1
O21 0.281 0.501 0.139 1
O22 0.280 0.065 0.933 1
O23 0.139 0.281 0.501 1
O24 0.501 0.139 0.281 1
```

(2)
## Li2Mn3SbO8 (GGA+U)

Data for crystalline Li2Mn3SbO8 at its relaxed geometry.

Values from the calculation:
Total DFT energy (no corrections) ... -6.707 eV per atom
Formation enthalpy at 0 K ... -2.099 eV/atom
Symmetry ... P2_1/c (14)

Cell and atoms, written as CIF:
```
data_Li2Mn3SbO8
_chemical_formula_sum 'Li4 Mn6 Sb2 O16'
_symmetry_space_group_name_H-M 'P 1'
_symmetry_Int_Tables_number 1
_cell_length_a 5.893
_cell_length_b 6.103
_cell_length_c 8.937
_cell_angle_alpha 88.52
_cell_angle_beta 90.00
_cell_angle_gamma 90.01
loop_
_symmetry_equiv_pos_as_xyz
'x,y,z'
loop_
_atom_site_label
_atom_site_fract_x
_atom_site_fract_y
_atom_site_fract_z
_atom_site_occupancy
Li1 0.996 0.263 0.135 1
Li2 0.504 0.763 0.635 1
Li3 0.004 0.737 0.865 1
Li4 0.496 0.237 0.365 1
Mn1 0.500 0.000 0.000 1
Mn2 0.754 0.748 0.248 1
Mn3 0.246 0.252 0.752 1
Mn4 0.000 0.500 0.500 1
Mn5 0.254 0.752 0.252 1
Mn6 0.746 0.248 0.748 1
Sb1 0.000 0.000 0.500 1
Sb2 0.500 0.500 0.000 1
O1 0.005 0.541 0.273 1
O2 0.495 0.040 0.773 1
O3 0.995 0.459 0.727 1
O4 0.505 0.960 0.227 1
O5 0.242 0.776 0.498 1
O6 0.718 0.243 0.002 1
O7 0.782 0.743 0.502 1
O8 0.258 0.276 0.998 1
O9 0.000 0.976 0.269 1
O10 0.500 0.476 0.769 1
O11 0.000 0.024 0.731 1
O12 0.500 0.524 0.231 1
O13 0.218 0.257 0.497 1
O14 0.742 0.724 0.002 1
O15 0.757 0.224 0.502 1
O16 0.282 0.757 0.998 1
```

(3)
## Cs2UMoO7 (GGA+U)

Data for crystalline Cs2UMoO7 at its relaxed geometry.

Values from the calculation:
Total DFT energy (no corrections) ... -7.334 eV per atom
Formation enthalpy at 0 K ... -2.738 eV/atom
Symmetry ... Pca2_1 (29)

Cell and atoms, written as CIF:
```
data_Cs2UMoO7
_chemical_formula_sum 'Cs24 U12 Mo12 O84'
_symmetry_space_group_name_H-M 'P 1'
_symmetry_Int_Tables_number 1
_cell_length_a 12.246
_cell_length_b 12.813
_cell_length_c 18.145
_cell_angle_alpha 90.00
_cell_angle_beta 90.00
_cell_angle_gamma 90.00
loop_
_symmetry_equiv_pos_as_xyz
'x,y,z'
loop_
_atom_site_label
_atom_site_fract_x
_atom_site_fract_y
_atom_site_fract_z
_atom_site_occupancy
Cs1 0.632 0.494 0.403 1
Cs2 0.640 0.958 0.405 1
Cs3 0.368 0.506 0.903 1
Cs4 0.865 0.521 0.241 1
Cs5 0.866 0.516 0.569 1
Cs6 0.635 0.521 0.741 1
Cs7 0.134 0.484 0.069 1
Cs8 0.376 0.998 0.565 1
Cs9 0.140 0.042 0.405 1
Cs10 0.876 0.002 0.565 1
Cs11 0.124 0.998 0.065 1
Cs12 0.634 0.516 0.069 1
Cs13 0.132 0.506 0.403 1
Cs14 0.360 0.042 0.905 1
Cs15 0.872 0.001 0.245 1
Cs16 0.135 0.479 0.741 1
Cs17 0.128 0.999 0.745 1
Cs18 0.372 0.999 0.245 1
Cs19 0.868 0.494 0.903 1
Cs20 0.860 0.958 0.905 1
Cs21 0.628 0.001 0.745 1
Cs22 0.624 0.002 0.065 1
Cs23 0.365 0.479 0.241 1
Cs24 0.366 0.484 0.569 1
U1 0.864 0.263 0.405 1
U2 0.370 0.759 0.736 1
U3 0.130 0.754 0.573 1
U4 0.136 0.737 0.905 1
U5 0.636 0.263 0.905 1
U6 0.630 0.241 0.236 1
U7 0.870 0.246 0.073 1
U8 0.364 0.737 0.405 1
U9 0.370 0.754 0.073 1
U10 0.870 0.241 0.736 1
U11 0.130 0.759 0.236 1
U12 0.630 0.246 0.573 1
Mo1 0.914 0.745 0.405 1
Mo2 0.413 0.246 0.738 1
Mo3 0.086 0.255 0.905 1
Mo4 0.409 0.240 0.074 1
Mo5 0.591 0.760 0.574 1
Mo6 0.587 0.754 0.238 1
Mo7 0.586 0.745 0.905 1
Mo8 0.414 0.255 0.405 1
Mo9 0.913 0.754 0.738 1
Mo10 0.091 0.240 0.574 1
Mo11 0.087 0.246 0.238 1
Mo12 0.909 0.760 0.074 1
O1 0.622 0.108 0.539 1
O2 0.112 0.119 0.907 1
O3 0.502 0.767 0.493 1
O4 0.292 0.172 0.748 1
O5 0.202 0.155 0.559 1
O6 0.383 0.622 0.702 1
O7 0.374 0.898 0.768 1
O8 0.753 0.288 0.818 1
O9 0.493 0.295 0.486 1
O10 0.998 0.767 0.993 1
O11 0.612 0.881 0.907 1
O12 0.986 0.807 0.154 1
O13 0.500 0.220 0.817 1
O14 0.388 0.119 0.407 1
O15 0.014 0.193 0.654 1
O16 0.009 0.289 0.822 1
O17 0.881 0.620 0.732 1
O18 0.403 0.595 0.402 1
O19 0.139 0.369 0.587 1
O20 0.002 0.233 0.493 1
O21 0.119 0.380 0.232 1
O22 0.097 0.595 0.902 1
O23 0.878 0.108 0.039 1
O24 0.617 0.378 0.202 1
O25 0.621 0.382 0.608 1
O26 0.164 0.881 0.908 1
O27 0.516 0.799 0.154 1
O28 0.708 0.828 0.248 1
O29 0.361 0.369 0.087 1
O30 0.874 0.102 0.768 1
O31 0.639 0.631 0.587 1
O32 0.710 0.675 0.905 1
O33 0.798 0.845 0.059 1
O34 0.991 0.711 0.322 1
O35 0.484 0.201 0.654 1
O36 0.249 0.707 0.492 1
O37 0.379 0.618 0.108 1
O38 0.993 0.705 0.486 1
O39 0.836 0.119 0.408 1
O40 0.016 0.201 0.154 1
O41 0.290 0.325 0.405 1
O42 0.883 0.378 0.702 1
O43 0.500 0.780 0.317 1
O44 0.122 0.892 0.539 1
O45 0.251 0.799 0.155 1
O46 0.381 0.380 0.732 1
O47 0.210 0.325 0.905 1
O48 0.336 0.881 0.408 1
O49 0.251 0.707 0.992 1
O50 0.749 0.293 0.492 1
O51 0.514 0.807 0.654 1
O52 0.247 0.712 0.318 1
O53 0.117 0.622 0.202 1
O54 0.000 0.780 0.817 1
O55 0.888 0.881 0.407 1
O56 0.007 0.295 0.986 1
O57 0.747 0.288 0.318 1
O58 0.298 0.155 0.059 1
O59 0.249 0.799 0.655 1
O60 0.751 0.201 0.155 1
O61 0.626 0.102 0.268 1
O62 0.664 0.119 0.908 1
O63 0.619 0.620 0.232 1
O64 0.208 0.172 0.248 1
O65 0.498 0.233 0.993 1
O66 0.126 0.898 0.268 1
O67 0.000 0.220 0.317 1
O68 0.792 0.828 0.748 1
O69 0.790 0.675 0.405 1
O70 0.861 0.631 0.087 1
O71 0.486 0.193 0.154 1
O72 0.702 0.845 0.559 1
O73 0.378 0.892 0.039 1
O74 0.903 0.405 0.402 1
O75 0.751 0.293 0.992 1
O76 0.509 0.711 0.822 1
O77 0.597 0.405 0.902 1
O78 0.879 0.382 0.108 1
O79 0.253 0.712 0.818 1
O80 0.491 0.289 0.322 1
O81 0.984 0.799 0.654 1
O82 0.121 0.618 0.608 1
O83 0.749 0.201 0.655 1
O84 0.507 0.705 0.986 1
```

(4)
## LiV2P4H2O16 (GGA+U)

Data for crystalline LiV2P4H2O16 at its relaxed geometry.

Values from the calculation:
Total DFT energy (no corrections) ... -6.934 eV per atom
Formation enthalpy at 0 K ... -2.402 eV/atom
Symmetry ... P1 (1)

Cell and atoms, written as CIF:
```
data_LiV2P4H2O16
_chemical_formula_sum 'Li2 V4 P8 H4 O32'
_symmetry_space_group_name_H-M 'P 1'
_symmetry_Int_Tables_number 1
_cell_length_a 7.375
_cell_length_b 9.280
_cell_length_c 9.287
_cell_angle_alpha 116.54
_cell_angle_beta 97.57
_cell_angle_gamma 97.52
loop_
_symmetry_equiv_pos_as_xyz
'x,y,z'
loop_
_atom_site_label
_atom_site_fract_x
_atom_site_fract_y
_atom_site_fract_z
_atom_site_occupancy
Li1 0.149 0.866 0.737 1
Li2 0.348 0.263 0.632 1
V1 0.997 0.500 0.000 1
V2 0.509 0.502 0.492 1
V3 0.509 0.003 0.008 1
V4 0.987 0.997 0.494 1
P1 0.765 0.890 0.740 1
P2 0.237 0.608 0.765 1
P3 0.267 0.737 0.388 1
P4 0.261 0.235 0.889 1
P5 0.732 0.263 0.612 1
P6 0.727 0.756 0.110 1
P7 0.778 0.387 0.240 1
P8 0.235 0.113 0.264 1
H1 0.487 0.974 0.483 1
H2 0.493 0.486 0.994 1
H3 0.011 0.511 0.519 1
H4 0.012 0.015 0.025 1
O1 0.342 0.791 0.848 1
O2 0.177 0.564 0.896 1
O3 0.944 0.905 0.851 1
O4 0.867 0.664 0.006 1
O5 0.143 0.831 0.505 1
O6 0.060 0.601 0.650 1
O7 0.813 0.935 0.606 1
O8 0.649 0.704 0.646 1
O9 0.447 0.849 0.400 1
O10 0.438 0.350 0.900 1
O11 0.363 0.003 0.171 1
O12 0.360 0.493 0.668 1
O13 0.326 0.603 0.432 1
O14 0.310 0.098 0.927 1
O15 0.154 0.152 0.706 1
O16 0.152 0.649 0.209 1
O17 0.848 0.354 0.794 1
O18 0.845 0.848 0.292 1
O19 0.682 0.888 0.064 1
O20 0.679 0.400 0.568 1
O21 0.640 0.497 0.332 1
O22 0.630 0.994 0.830 1
O23 0.552 0.152 0.595 1
O24 0.555 0.637 0.092 1
O25 0.351 0.296 0.351 1
O26 0.187 0.079 0.403 1
O27 0.950 0.409 0.359 1
O28 0.863 0.174 0.503 1
O29 0.132 0.332 0.999 1
O30 0.052 0.098 0.152 1
O31 0.823 0.433 0.105 1
O32 0.658 0.209 0.151 1
```

(5)
## Mn3CuNi2P6O24 (GGA+U)

Data for crystalline Mn3CuNi2P6O24 at its relaxed geometry.

Values from the calculation:
Total DFT energy (no corrections) ... -6.832 eV per atom
Formation enthalpy at 0 K ... -2.171 eV/atom
Symmetry ... R3 (146)

Cell and atoms, written as CIF:
```
data_Mn3CuNi2P6O24
_chemical_formula_sum 'Mn3 Cu1 Ni2 P6 O24'
_symmetry_space_group_name_H-M 'P 1'
_symmetry_Int_Tables_number 1
_cell_length_a 8.433
_cell_length_b 8.433
_cell_length_c 8.433
_cell_angle_alpha 60.62
_cell_angle_beta 60.62
_cell_angle_gamma 60.62
loop_
_symmetry_equiv_pos_as_xyz
'x,y,z'
loop_
_atom_site_label
_atom_site_fract_x
_atom_site_fract_y
_atom_site_fract_z
_atom_site_occupancy
Mn1 0.141 0.141 0.141 1
Mn2 0.358 0.358 0.358 1
Mn3 0.642 0.642 0.642 1
Cu1 0.857 0.857 0.857 1
Ni1 0.998 0.998 0.998 1
Ni2 0.500 0.500 0.500 1
P1 0.751 0.041 0.458 1
P2 0.041 0.458 0.751 1
P3 0.458 0.751 0.041 1
P4 0.541 0.250 0.961 1
P5 0.961 0.541 0.250 1
P6 0.250 0.961 0.541 1
O1 0.310 0.123 0.504 1
O2 0.504 0.310 0.123 1
O3 0.914 0.056 0.257 1
O4 0.123 0.504 0.310 1
O5 0.805 0.019 0.615 1
O6 0.583 0.242 0.440 1
O7 0.056 0.257 0.914 1
O8 0.242 0.440 0.583 1
O9 0.379 0.195 0.990 1
O10 0.440 0.583 0.242 1
O11 0.739 0.089 0.948 1
O12 0.990 0.379 0.195 1
O13 0.019 0.615 0.805 1
O14 0.257 0.914 0.056 1
O15 0.552 0.417 0.762 1
O16 0.615 0.805 0.019 1
O17 0.762 0.552 0.417 1
O18 0.948 0.739 0.089 1
O19 0.417 0.762 0.552 1
O20 0.195 0.990 0.379 1
O21 0.879 0.489 0.694 1
O22 0.089 0.948 0.739 1
O23 0.489 0.694 0.879 1
O24 0.694 0.879 0.489 1
```

(6)
## Li9Mn2Co5O16 (GGA+U)

Data for crystalline Li9Mn2Co5O16 at its relaxed geometry.

Values from the calculation:
Total DFT energy (no corrections) ... -5.803 eV per atom
Formation enthalpy at 0 K ... -1.812 eV/atom
Symmetry ... Cm (8)

Cell and atoms, written as CIF:
```
data_Li9Mn2Co5O16
_chemical_formula_sum 'Li9 Mn2 Co5 O16'
_symmetry_space_group_name_H-M 'P 1'
_symmetry_Int_Tables_number 1
_cell_length_a 6.711
_cell_length_b 6.711
_cell_length_c 15.293
_cell_angle_alpha 86.97
_cell_angle_beta 86.97
_cell_angle_gamma 24.89
loop_
_symmetry_equiv_pos_as_xyz
'x,y,z'
loop_
_atom_site_label
_atom_site_fract_x
_atom_site_fract_y
_atom_site_fract_z
_atom_site_occupancy
Li1 0.693 0.693 0.934 1
Li2 0.064 0.064 0.812 1
Li3 0.433 0.433 0.690 1
Li4 0.315 0.315 0.059 1
Li5 0.935 0.935 0.186 1
Li6 0.564 0.564 0.313 1
Li7 0.812 0.812 0.565 1
Li8 0.186 0.186 0.439 1
Li9 0.372 0.372 0.876 1
Mn1 0.992 0.992 0.997 1
Mn2 0.873 0.873 0.376 1
Co1 0.759 0.759 0.756 1
Co2 0.130 0.130 0.628 1
Co3 0.505 0.505 0.502 1
Co4 0.247 0.247 0.248 1
Co5 0.624 0.624 0.123 1
O1 0.529 0.529 0.917 1
O2 0.892 0.892 0.775 1
O3 0.276 0.276 0.662 1
O4 0.143 0.143 0.038 1
O5 0.778 0.778 0.163 1
O6 0.403 0.403 0.289 1
O7 0.656 0.656 0.539 1
O8 0.029 0.029 0.418 1
O9 0.856 0.856 0.972 1
O10 0.219 0.219 0.837 1
O11 0.603 0.603 0.715 1
O12 0.471 0.471 0.084 1
O13 0.098 0.098 0.208 1
O14 0.717 0.717 0.335 1
O15 0.978 0.978 0.585 1
O16 0.347 0.347 0.461 1
```

(7)
## Li2Mn3CuO8 (GGA+U)

Data for crystalline Li2Mn3CuO8 at its relaxed geometry.

Values from the calculation:
Total DFT energy (no corrections) ... -6.426 eV per atom
Formation enthalpy at 0 K ... -1.820 eV/atom
Symmetry ... Cc (9)

Cell and atoms, written as CIF:
```
data_Li2Mn3CuO8
_chemical_formula_sum 'Li4 Mn6 Cu2 O16'
_symmetry_space_group_name_H-M 'P 1'
_symmetry_Int_Tables_number 1
_cell_length_a 5.819
_cell_length_b 5.823
_cell_length_c 9.673
_cell_angle_alpha 87.36
_cell_angle_beta 91.32
_cell_angle_gamma 120.02
loop_
_symmetry_equiv_pos_as_xyz
'x,y,z'
loop_
_atom_site_label
_atom_site_fract_x
_atom_site_fract_y
_atom_site_fract_z
_atom_site_occupancy
Li1 0.333 0.657 0.891 1
Li2 0.000 0.013 0.997 1
Li3 0.000 0.013 0.497 1
Li4 0.667 0.324 0.391 1
Mn1 0.168 0.832 0.215 1
Mn2 0.171 0.339 0.214 1
Mn3 0.663 0.830 0.215 1
Mn4 0.337 0.167 0.715 1
Mn5 0.832 0.665 0.715 1
Mn6 0.829 0.168 0.714 1
Cu1 0.333 0.669 0.494 1
Cu2 0.667 0.336 0.994 1
O1 0.157 0.849 0.608 1
O2 0.036 0.509 0.331 1
O3 0.333 0.675 0.108 1
O4 0.000 0.994 0.312 1
O5 0.000 0.994 0.812 1
O6 0.159 0.325 0.605 1
O7 0.481 0.954 0.335 1
O8 0.485 0.506 0.324 1
O9 0.316 0.165 0.105 1
O10 0.684 0.848 0.605 1
O11 0.519 0.472 0.835 1
O12 0.515 0.022 0.824 1
O13 0.667 0.342 0.608 1
O14 0.843 0.692 0.108 1
O15 0.964 0.473 0.831 1
O16 0.841 0.166 0.105 1
```

(8)
## Ga2WO6 (GGA+U)

Data for crystalline Ga2WO6 at its relaxed geometry.

Values from the calculation:
Total DFT energy (no corrections) ... -6.649 eV per atom
Formation enthalpy at 0 K ... -2.188 eV/atom
Symmetry ... P4_2/mnm (136)

Cell and atoms, written as CIF:
```
data_Ga2WO6
_chemical_formula_sum 'Ga4 W2 O12'
_symmetry_space_group_name_H-M 'P 1'
_symmetry_Int_Tables_number 1
_cell_length_a 4.653
_cell_length_b 4.653
_cell_length_c 9.038
_cell_angle_alpha 90.00
_cell_angle_beta 90.00
_cell_angle_gamma 90.00
loop_
_symmetry_equiv_pos_as_xyz
'x,y,z'
loop_
_atom_site_label
_atom_site_fract_x
_atom_site_fract_y
_atom_site_fract_z
_atom_site_occupancy
Ga1 0.500 0.500 0.336 1
Ga2 0.500 0.500 0.664 1
Ga3 0.000 0.000 0.164 1
Ga4 0.000 0.000 0.836 1
W1 0.500 0.500 0.000 1
W2 0.000 0.000 0.500 1
O1 0.696 0.696 0.161 1
O2 0.696 0.696 0.839 1
O3 0.700 0.700 0.500 1
O4 0.800 0.200 0.000 1
O5 0.804 0.196 0.339 1
O6 0.804 0.196 0.661 1
O7 0.196 0.804 0.339 1
O8 0.196 0.804 0.661 1
O9 0.200 0.800 0.000 1
O10 0.300 0.300 0.500 1
O11 0.304 0.304 0.161 1
O12 0.304 0.304 0.839 1
```